PBE Rb2Nb3H11C5Cl6O8, relaxed; formation enthalpy at 0 K = -1155.5 meV per atom; space group = P-1
1.0
9.715 0.000 0.000
1.607 10.255 0.000
3.770 4.063 11.146
Rb Nb H C Cl O
4 6 22 10 12 16
direct
0.195 0.367 0.300 Rb
0.237 0.503 0.593 Rb
0.763 0.497 0.407 Rb
0.805 0.633 0.700 Rb
0.338 0.900 0.151 Nb
0.345 0.143 0.930 Nb
0.472 0.872 0.915 Nb
0.528 0.128 0.085 Nb
0.655 0.857 0.070 Nb
0.662 0.100 0.849 Nb
0.001 0.779 0.260 H
0.061 0.372 0.979 H
0.078 0.897 0.703 H
0.086 0.006 0.552 H
0.105 0.801 0.509 H
0.240 0.692 0.876 H
0.241 0.901 0.588 H
0.314 0.179 0.569 H
0.429 0.148 0.437 H
0.495 0.830 0.457 H
0.499 0.370 0.365 H
0.501 0.630 0.635 H
0.505 0.170 0.543 H
0.571 0.852 0.563 H
0.686 0.821 0.431 H
0.759 0.099 0.412 H
0.760 0.308 0.124 H
0.895 0.199 0.491 H
0.914 0.994 0.448 H
0.922 0.103 0.297 H
0.939 0.628 0.021 H
0.999 0.221 0.740 H
0.045 0.745 0.340 C
0.084 0.379 0.883 C
0.123 0.906 0.609 C
0.346 0.683 0.812 C
0.416 0.205 0.499 C
0.584 0.795 0.501 C
0.654 0.317 0.188 C
0.877 0.094 0.391 C
0.916 0.621 0.117 C
0.955 0.255 0.660 C
0.127 0.050 0.095 Cl
0.277 0.731 0.077 Cl
0.283 0.014 0.819 Cl
0.340 0.034 0.280 Cl
0.351 0.321 0.018 Cl
0.490 0.712 0.260 Cl
0.510 0.288 0.740 Cl
0.649 0.679 0.982 Cl
0.660 0.966 0.720 Cl
0.717 0.986 0.181 Cl
0.723 0.269 0.923 Cl
0.873 0.950 0.905 Cl
0.011 0.464 0.818 O
0.029 0.330 0.561 O
0.072 0.792 0.594 O
0.170 0.788 0.323 O
0.186 0.297 0.847 O
0.351 0.623 0.740 O
0.413 0.352 0.437 O
0.455 0.735 0.817 O
0.545 0.265 0.183 O
0.587 0.648 0.563 O
0.649 0.377 0.260 O
0.814 0.703 0.153 O
0.830 0.212 0.677 O
0.928 0.208 0.406 O
0.971 0.670 0.439 O
0.989 0.536 0.182 O